Entry 1:
Below is a relaxed K4Li5Mn2O8 crystal, with properties calculated at the GGA+U level.

POSCAR file:
```
K4Li5Mn2O8
1.0
5.555 0.000 0.000
-0.009 8.923 0.000
-1.905 -0.175 10.783
K Li Mn O
8 10 4 16
Direct
0.000 0.000 0.000 K
0.073 0.255 0.517 K
0.237 0.523 0.782 K
0.328 0.772 0.298 K
0.469 0.798 0.963 K
0.569 0.994 0.518 K
0.693 0.231 0.795 K
0.778 0.522 0.304 K
0.093 0.248 0.221 Li
0.174 0.745 0.570 Li
0.303 0.234 0.948 Li
0.304 0.508 0.452 Li
0.493 0.280 0.348 Li
0.624 0.777 0.711 Li
0.717 0.289 0.080 Li
0.811 0.524 0.946 Li
0.872 0.739 0.141 Li
0.992 0.004 0.344 Li
0.104 0.981 0.702 Mn
0.249 0.474 0.100 Mn
0.563 0.063 0.197 Mn
0.721 0.535 0.594 Mn
0.009 0.545 0.535 O
0.048 0.305 0.039 O
0.070 0.957 0.529 O
0.080 0.665 0.050 O
0.186 0.168 0.770 O
0.252 0.455 0.275 O
0.295 0.822 0.736 O
0.306 0.083 0.297 O
0.506 0.680 0.533 O
0.510 0.457 0.006 O
0.555 0.093 0.029 O
0.584 0.363 0.517 O
0.728 0.565 0.759 O
0.735 0.868 0.232 O
0.770 0.226 0.266 O
0.819 0.956 0.753 O
```

Values from the calculation:
formation energy from the elements: -1841 meV per atom
VASP energy: -196.09 eV for the cell shown
SG: P1
volume: 534.5 Å³/cell


Entry 2:
Below is a relaxed Li2Cr2SiO6 crystal, with properties calculated at the GGA+U level.

POSCAR file:
```
Li2Cr2SiO6
1.0
0.000 4.185 8.450
2.940 0.000 8.450
2.940 4.185 0.000
Li Cr Si O
4 4 2 12
Direct
0.035 0.035 0.715 Li
0.285 0.285 0.965 Li
0.715 0.715 0.035 Li
0.965 0.965 0.285 Li
0.204 0.204 0.546 Cr
0.454 0.454 0.796 Cr
0.546 0.546 0.204 Cr
0.796 0.796 0.454 Cr
0.375 0.375 0.375 Si
0.625 0.625 0.625 Si
0.072 0.520 0.661 O
0.163 0.587 0.163 O
0.247 0.661 0.520 O
0.339 0.753 0.928 O
0.413 0.837 0.413 O
0.480 0.928 0.753 O
0.520 0.072 0.247 O
0.587 0.163 0.587 O
0.661 0.247 0.072 O
0.753 0.339 0.480 O
0.837 0.413 0.837 O
0.928 0.480 0.339 O
```

Values from the calculation:
formation energy from the elements: -2585 meV per atom
VASP energy: -157.11 eV for the cell shown
SG: Fddd
volume: 207.9 Å³/cell


Entry 3:
Below is a relaxed Ho2MnNiO6 crystal, with properties calculated at the GGA+U level.

POSCAR file:
```
Ho2MnNiO6
1.0
5.260 0.000 0.000
0.000 5.603 0.000
-5.161 0.000 7.575
Ho Mn Ni O
4 2 2 12
Direct
0.226 0.071 0.247 Ho
0.226 0.429 0.747 Ho
0.774 0.571 0.253 Ho
0.774 0.929 0.753 Ho
0.500 0.000 0.000 Mn
0.500 0.500 0.500 Mn
0.000 0.000 0.500 Ni
0.000 0.500 0.000 Ni
0.149 0.188 0.948 O
0.149 0.312 0.448 O
0.253 0.709 0.938 O
0.253 0.791 0.438 O
0.370 0.042 0.758 O
0.370 0.458 0.258 O
0.630 0.542 0.742 O
0.630 0.958 0.242 O
0.747 0.209 0.562 O
0.747 0.291 0.062 O
0.851 0.688 0.552 O
0.851 0.812 0.052 O
```

Values from the calculation:
formation energy from the elements: -2864 meV per atom
VASP energy: -148.20 eV for the cell shown
SG: P2_1/c
volume: 223.2 Å³/cell